1.
# NaYNbP3O12

A relaxed structure of NaYNbP3O12 (PBE-GGA, the Materials Project database).

Cell: 9.012 9.012 23.198 Å, 90.00 90.00 120.00°
Atoms (fractional coordinates):
O 0.190 0.046 0.589
O 0.834 0.301 0.529
O 0.522 0.379 0.422
O 0.366 0.867 0.863
O 0.134 0.670 0.077
Y 0.333 0.667 0.521
O 0.856 0.046 0.089
P 0.016 0.300 0.251
O 0.470 0.129 0.637
O 0.992 0.196 0.304
O 0.470 0.341 0.137
O 0.871 0.530 0.137
O 0.204 0.196 0.804
P 0.700 0.984 0.751
O 0.857 0.379 0.922
P 0.033 0.382 0.917
P 0.285 0.300 0.751
O 0.501 0.634 0.863
O 0.190 0.144 0.089
O 0.992 0.796 0.804
P 0.700 0.715 0.251
O 0.330 0.866 0.577
O 0.287 0.811 0.256
O 0.997 0.797 0.411
O 0.536 0.866 0.077
O 0.189 0.476 0.256
P 0.349 0.967 0.917
O 0.997 0.200 0.911
Nb 0.667 0.333 0.981
O 0.203 0.200 0.411
Na 0.000 0.000 0.997
O 0.538 0.863 0.471
P 0.618 0.651 0.917
Na 0.333 0.667 0.164
P 0.349 0.382 0.417
P 0.016 0.715 0.751
O 0.954 0.810 0.089
O 0.869 0.336 0.244
Na 0.000 0.000 0.497
O 0.800 0.003 0.411
O 0.203 0.003 0.911
P 0.951 0.634 0.084
O 0.325 0.462 0.471
O 0.466 0.301 0.029
Nb 0.333 0.667 0.315
O 0.800 0.797 0.911
O 0.467 0.336 0.744
O 0.856 0.810 0.589
O 0.501 0.867 0.363
O 0.621 0.478 0.922
Y 0.000 0.000 0.855
Y 0.333 0.667 0.021
Y 0.667 0.333 0.688
O 0.133 0.499 0.863
O 0.799 0.832 0.196
O 0.699 0.534 0.529
Nb 0.333 0.667 0.815
O 0.954 0.144 0.589
Na 0.667 0.333 0.330
O 0.366 0.499 0.363
O 0.871 0.341 0.637
P 0.033 0.651 0.417
O 0.168 0.967 0.196
O 0.664 0.131 0.744
O 0.804 0.796 0.304
Nb 0.000 0.000 0.648
O 0.659 0.129 0.137
O 0.033 0.201 0.196
O 0.857 0.478 0.422
O 0.869 0.533 0.744
Y 0.000 0.000 0.355
Nb 0.667 0.333 0.481
O 0.524 0.811 0.756
O 0.834 0.534 0.029
O 0.699 0.166 0.029
Na 0.667 0.333 0.830
O 0.799 0.967 0.696
O 0.538 0.675 0.971
P 0.618 0.967 0.417
O 0.621 0.143 0.422
O 0.522 0.143 0.922
O 0.287 0.476 0.756
P 0.682 0.049 0.084
O 0.168 0.201 0.696
O 0.325 0.863 0.971
Nb 0.000 0.000 0.148
P 0.366 0.318 0.084
O 0.664 0.533 0.244
O 0.536 0.670 0.577
O 0.330 0.464 0.077
P 0.285 0.984 0.251
O 0.659 0.530 0.637
O 0.466 0.166 0.529
O 0.189 0.713 0.756
O 0.133 0.634 0.363
O 0.524 0.713 0.256
O 0.137 0.462 0.971
P 0.682 0.634 0.584
O 0.134 0.464 0.577
Na 0.333 0.667 0.664
P 0.366 0.049 0.584
O 0.204 0.008 0.304
O 0.804 0.008 0.804
O 0.033 0.832 0.696
P 0.951 0.318 0.584
O 0.467 0.131 0.244
Y 0.667 0.333 0.188
O 0.137 0.675 0.471

DFT formation energy   -2.9974 eV/atom
Volume   1631.8 Å³ per cell
E   -0.5684 Ry per atom

2.
# Na10Y7NbP12O48

A relaxed structure of Na10Y7NbP12O48 (PBE-GGA, the Materials Project database).

Cell: 18.540 9.282 23.637 Å, 89.97 90.07 120.15°
Atoms (fractional coordinates):
O 0.160 0.471 0.757
O 0.646 0.867 0.971
O 0.239 0.364 0.135
Na 0.661 0.666 0.671
O 0.415 0.011 0.802
Na 0.333 0.323 0.837
O 0.677 0.494 0.077
Na 0.014 0.333 0.082
Na 0.514 0.333 0.083
Na 0.000 0.999 0.495
O 0.940 0.361 0.637
Nb 0.501 0.003 0.852
O 0.070 0.493 0.579
P 0.833 0.036 0.082
O 0.919 0.296 0.254
O 0.927 0.306 0.531
O 0.158 0.847 0.257
Y 0.332 0.341 0.186
O 0.833 0.525 0.919
Na 0.666 0.679 0.171
P 0.854 0.706 0.252
P 0.821 0.968 0.416
O 0.009 0.181 0.903
P 0.316 0.963 0.416
O 0.729 0.308 0.034
Y 0.163 0.667 0.818
O 0.828 0.140 0.421
O 0.847 0.148 0.031
O 0.512 0.221 0.193
O 0.426 0.520 0.421
O 0.265 0.876 0.363
O 0.411 0.806 0.588
O 0.442 0.521 0.135
O 0.082 0.983 0.903
O 0.568 0.692 0.473
O 0.492 0.807 0.088
O 0.427 0.305 0.532
O 0.760 0.875 0.367
O 0.589 0.185 0.414
O 0.770 0.836 0.758
O 0.674 0.876 0.865
O 0.725 0.140 0.527
O 0.992 0.178 0.589
O 0.008 0.838 0.403
O 0.943 0.521 0.136
O 0.735 0.169 0.246
O 0.411 0.014 0.088
O 0.571 0.493 0.578
P 0.321 0.674 0.913
P 0.981 0.334 0.584
Na 0.668 0.033 0.414
P 0.184 0.335 0.082
P 0.686 0.037 0.582
Y 0.163 0.660 0.316
O 0.494 0.818 0.801
P 0.163 0.359 0.416
O 0.391 0.806 0.197
O 0.419 0.309 0.245
O 0.820 0.525 0.641
Y 0.663 0.667 0.818
Na 0.163 0.654 0.171
O 0.674 0.467 0.363
Na 0.161 0.667 0.671
O 0.581 0.470 0.253
P 0.516 0.358 0.915
Y 0.500 0.997 0.153
O 0.338 0.527 0.247
O 0.754 0.648 0.580
P 0.147 0.294 0.752
O 0.593 0.176 0.802
O 0.575 0.687 0.757
Y 0.002 0.004 0.653
O 0.441 0.362 0.637
O 0.238 0.144 0.920
O 0.178 0.480 0.367
O 0.766 0.652 0.861
O 0.075 0.687 0.757
Y 0.334 0.325 0.690
P 0.500 0.711 0.751
O 0.676 0.860 0.578
O 0.270 0.836 0.758
Nb 0.000 0.999 0.350
O 0.146 0.867 0.971
P 0.000 0.289 0.251
O 0.100 0.983 0.196
Na 0.833 0.323 0.837
O 0.912 0.808 0.589
O 0.915 0.544 0.752
O 0.789 0.870 0.472
Na 0.333 0.969 0.582
Na 0.515 0.696 0.583
Y 0.838 0.343 0.480
O 0.662 0.849 0.254
Na 0.844 0.344 0.333
Y 0.161 0.662 0.510
O 0.753 0.859 0.076
Na 0.500 0.012 0.494
O 0.819 0.117 0.135
O 0.062 0.473 0.866
O 0.174 0.876 0.866
Y 0.665 0.669 0.317
Na 0.500 0.000 0.997
O 0.264 0.697 0.253
Na 0.152 0.971 0.082
O 0.093 0.176 0.802
O 0.597 0.178 0.088
O 0.488 0.186 0.299
O 0.562 0.473 0.866
O 0.266 0.653 0.861
O 0.734 0.309 0.752
Y 0.000 0.999 0.153
Y 0.502 0.003 0.653
O 0.253 0.858 0.077
Na 0.683 0.365 0.252
O 0.175 0.493 0.076
O 0.273 0.857 0.470
O 0.415 0.544 0.751
Na 0.334 0.334 0.333
Na 0.314 0.631 0.754
O 0.600 0.983 0.195
O 0.910 0.837 0.903
Y 0.333 0.334 0.978
Na 0.333 0.695 0.083
O 0.994 0.819 0.801
O 0.928 0.331 0.920
P 0.516 0.669 0.418
O 0.077 0.461 0.258
O 0.234 0.309 0.752
Y 0.839 0.333 0.188
O 0.285 0.707 0.968
Na 0.653 0.972 0.083
O 0.426 0.547 0.030
Na 0.000 0.000 0.997
Na 0.317 0.999 0.252
O 0.582 0.983 0.903
O 0.063 0.654 0.366
O 0.066 0.424 0.971
P 0.647 0.294 0.752
P 0.482 0.629 0.082
O 0.598 0.018 0.588
P 0.185 0.035 0.584
O 0.608 0.023 0.303
O 0.509 0.181 0.903
O 0.318 0.110 0.139
P 0.855 0.998 0.752
P 0.017 0.677 0.415
P 0.332 0.035 0.084
O 0.226 0.306 0.030
P 0.332 0.628 0.584
O 0.892 0.977 0.696
O 0.096 0.015 0.589
O 0.234 0.158 0.253
O 0.913 0.816 0.302
P 0.821 0.674 0.913
O 0.571 0.649 0.076
O 0.092 0.010 0.302
O 0.327 0.138 0.420
P 0.833 0.629 0.586
P 0.000 0.711 0.751
O 0.225 0.145 0.532
O 0.096 0.177 0.088
O 0.909 0.987 0.403
O 0.392 0.977 0.696
O 0.660 0.471 0.757
O 0.410 0.837 0.903
P 0.016 0.358 0.915
O 0.566 0.424 0.971
O 0.065 0.709 0.472
O 0.915 0.011 0.802
O 0.561 0.650 0.367
O 0.008 0.802 0.695
P 0.147 0.000 0.252
Na 0.833 0.695 0.083
O 0.765 0.680 0.259
O 0.145 0.424 0.472
Na 0.814 0.631 0.754
O 0.911 0.014 0.088
O 0.847 0.544 0.535
O 0.996 0.169 0.302
O 0.891 0.799 0.196
O 0.402 0.968 0.414
P 0.163 0.968 0.915
O 0.744 0.338 0.419
P 0.355 0.998 0.752
O 0.927 0.548 0.031
O 0.243 0.348 0.421
Y 0.833 0.334 0.979
O 0.848 0.156 0.752
O 0.785 0.707 0.968
O 0.320 0.521 0.637
O 0.400 0.787 0.304
Y 0.834 0.325 0.690
O 0.253 0.646 0.578
O 0.346 0.151 0.034
Na 0.014 0.696 0.583
O 0.084 0.182 0.403
P 0.663 0.968 0.915
O 0.101 0.221 0.696
P 0.983 0.630 0.082
O 0.492 0.178 0.589
O 0.601 0.220 0.696
O 0.929 0.526 0.419
O 0.993 0.807 0.088
Y 0.332 0.324 0.480
O 0.175 0.857 0.578
Na 0.834 0.971 0.582
O 0.240 0.117 0.636
Nb 0.001 0.003 0.852
Na 0.652 0.335 0.582
P 0.500 0.300 0.248
Y 0.670 0.667 0.511
Na 0.347 0.665 0.414
Y 0.500 0.005 0.349
O 0.334 0.525 0.919
P 0.482 0.335 0.584
O 0.008 0.214 0.195
O 0.509 0.802 0.695
P 0.686 0.336 0.085
Na 0.152 0.334 0.582
P 0.348 0.701 0.251
P 0.651 0.002 0.250
O 0.345 0.547 0.531
O 0.847 0.533 0.252
O 0.071 0.649 0.076
Y 0.167 0.667 0.008
O 0.428 0.330 0.920
P 0.667 0.363 0.416
O 0.738 0.144 0.920
O 0.349 0.156 0.752
O 0.511 0.831 0.414
O 0.738 0.363 0.140
O 0.659 0.446 0.471
Y 0.667 0.666 0.009
O 0.742 0.124 0.633

DFT formation energy   -3.0689 eV/atom
Volume   3517.3 Å³ per cell
E   -0.5441 Ry per atom

3.
# Na15Nb5Zn7P18O72

A relaxed structure of Na15Nb5Zn7P18O72 (PBE-GGA, the Materials Project database).

Cell: 8.970 8.950 22.229 Å, 89.92 90.20 119.93°
Atoms (fractional coordinates):
Zn 0.325 0.666 0.016
Nb 0.333 0.667 0.820
O 0.148 0.457 0.974
O 0.181 0.991 0.910
O 0.547 0.686 0.978
O 0.019 0.823 0.411
O 0.351 0.489 0.076
P 0.962 0.334 0.585
P 0.665 0.628 0.585
O 0.142 0.655 0.078
O 0.795 0.825 0.193
O 0.009 0.190 0.909
Na 0.663 0.330 0.322
Na 0.364 0.014 0.747
O 0.883 0.361 0.642
O 0.841 0.320 0.529
Zn 0.000 0.001 0.654
O 0.965 0.806 0.090
O 0.967 0.164 0.583
Nb 0.338 0.664 0.312
P 0.665 0.041 0.086
O 0.766 0.954 0.690
P 0.962 0.624 0.087
O 0.480 0.328 0.745
O 0.314 0.483 0.759
O 0.881 0.529 0.145
O 0.184 0.189 0.412
O 0.489 0.365 0.140
O 0.859 0.365 0.923
O 0.198 0.033 0.582
Na 0.011 0.010 0.987
O 0.297 0.825 0.256
O 0.638 0.495 0.923
O 0.825 0.793 0.305
P 0.330 0.961 0.920
O 0.823 0.030 0.802
O 0.833 0.529 0.032
O 0.024 0.199 0.196
P 0.632 0.670 0.922
Zn 0.335 0.666 0.513
O 0.839 0.031 0.089
O 0.501 0.861 0.365
O 0.356 0.494 0.365
P 0.295 0.004 0.254
O 0.550 0.864 0.478
Na 0.986 0.349 0.747
O 0.518 0.831 0.759
O 0.146 0.691 0.475
O 0.640 0.522 0.642
P 0.378 0.335 0.085
O 0.358 0.870 0.862
Na 0.334 0.667 0.661
O 0.834 0.802 0.583
O 0.196 0.163 0.091
O 0.505 0.142 0.922
O 0.680 0.521 0.529
P 0.001 0.706 0.749
Zn 0.993 0.001 0.350
O 0.130 0.489 0.862
P 0.039 0.369 0.921
P 0.712 0.710 0.251
O 0.684 0.529 0.243
O 0.521 0.856 0.078
P 0.331 0.372 0.420
Na 0.293 0.334 0.585
O 0.173 0.475 0.256
O 0.810 0.821 0.911
Zn 0.667 0.333 0.681
O 0.315 0.855 0.975
O 0.979 0.188 0.309
O 0.529 0.698 0.258
Na 0.330 0.668 0.155
Nb 0.666 0.330 0.979
Na 0.650 0.636 0.747
O 0.645 0.123 0.142
O 0.353 0.858 0.578
P 0.630 0.958 0.420
O 0.206 0.176 0.802
Nb 0.004 0.007 0.145
O 0.141 0.495 0.578
O 0.188 0.234 0.690
O 0.480 0.120 0.641
Na 0.665 0.959 0.585
P 0.704 0.998 0.749
O 0.808 0.987 0.411
O 0.313 0.450 0.478
O 0.169 0.687 0.759
O 0.215 0.019 0.312
O 0.691 0.158 0.029
Na 0.987 0.631 0.244
O 0.167 0.972 0.199
O 0.848 0.520 0.745
P 0.373 0.039 0.584
O 0.476 0.156 0.527
O 0.467 0.305 0.028
P 0.042 0.667 0.418
O 0.854 0.331 0.245
O 0.671 0.152 0.745
P 0.294 0.295 0.749
P 0.998 0.290 0.253
Zn 0.000 0.000 0.851
O 0.045 0.812 0.690
O 0.475 0.153 0.245
O 0.508 0.642 0.865
O 0.504 0.362 0.421
O 0.860 0.497 0.422
Na 0.654 0.689 0.078
O 0.970 0.794 0.802
Na 0.667 0.334 0.832
Na 0.319 0.024 0.411
Zn 0.660 0.325 0.183
O 0.133 0.640 0.361
Na 0.042 0.709 0.585
O 0.630 0.138 0.421
Na 0.988 0.999 0.495
Nb 0.671 0.338 0.478
O 0.505 0.647 0.578

DFT formation energy   -2.6077 eV/atom
Volume   1546.5 Å³ per cell
E   -0.4953 Ry per atom